## TaReSi (PBE-GGA)

Data for TaReSi after structural relaxation.

Properties
Calculated formation energy (eV per formula unit): -1.433
Electronic total energy (eV for the cell shown): -187.39
Calculated volume (Å³ per cell): 273
Space group: Ima2
Magnetic moment (μB per formula unit): 0.0

Cell lengths 7.5586, 7.5586, 7.5586 Å; angles 124.53, 80.09, 127.25 degrees
Closest atoms and distances in Å follow each position.
Sites, in units of the cell vectors:
Ta  0.0035  0.2500  0.2535  5 Si 2.67-2.69, 4 Re 2.87
Ta  0.4079  0.3736  0.5343  5 Si 2.65-2.70, 2 Re 2.91
Ta  0.4213  0.8666  0.0547  5 Si 2.66-2.97, 6 Re 2.79-2.88
Ta  0.8120  0.3666  0.9453  5 Si 2.66-2.97, 6 Re 2.79-2.88
Ta  0.8393  0.8736  0.4657  5 Si 2.65-2.70, 2 Re 2.91
Ta  0.9965  0.7500  0.7465  5 Si 2.67-2.69, 4 Re 2.87
Re  0.1579  0.3195  0.9075  4 Si 2.43-2.55
Re  0.1579  0.7504  0.3384  4 Si 2.43-2.55
Re  0.4120  0.2504  0.0925  4 Si 2.43-2.55
Re  0.4120  0.8195  0.6616  4 Si 2.43-2.55
Re  0.6616  0.1616  0.5000  4 Si 2.52-2.57
Re  0.6616  0.6616  0.0000  4 Si 2.52-2.57
Si  0.0808  0.4181  0.6721  3 Re 2.54-2.57, 6 Ta 2.65-2.71
Si  0.0808  0.9087  0.1627  3 Re 2.54-2.57, 6 Ta 2.65-2.71
Si  0.3699  0.1479  0.7220  6 Re 2.43-2.52, 2 Ta 2.65-2.69
Si  0.4259  0.6479  0.2780  6 Re 2.43-2.52, 2 Ta 2.65-2.69
Si  0.7461  0.4087  0.3279  3 Re 2.54-2.57, 6 Ta 2.65-2.71
Si  0.7461  0.9181  0.8373  3 Re 2.54-2.57, 6 Ta 2.65-2.71